# 1
The following is a PBE+U calculation of a relaxed Li6TiNi3P6O24 crystal, from the Materials Project.

Computed properties:
Symmetry = P1 (1)
ΔH_f (0 K) = -2453 meV per atom
Total energy = -6.548 eV/atom
Energy with MP2020 corrections = -7.1512 eV per atom

Cell: 8.602 8.640 8.659 Å, 61.41 61.28 61.18°
Element x y z (fractional)
Li 0.000 0.000 0.000
Li 0.093 0.512 0.858
Li 0.265 0.864 0.654
Li 0.450 0.709 0.308
Li 0.721 0.350 0.142
Li 0.900 0.053 0.511
Ti 0.893 0.498 0.306
Ni 0.098 0.705 0.510
Ni 0.386 0.996 0.799
Ni 0.601 0.210 0.011
P 0.195 0.103 0.195
P 0.294 0.602 0.113
P 0.496 0.398 0.610
P 0.698 0.904 0.407
P 0.790 0.812 0.913
P 0.994 0.310 0.706
O 0.054 0.463 0.681
O 0.129 0.530 0.179
O 0.149 0.117 0.711
O 0.191 0.070 0.038
O 0.200 0.930 0.377
O 0.270 0.774 0.937
O 0.276 0.650 0.273
O 0.323 0.579 0.614
O 0.359 0.160 0.140
O 0.468 0.225 0.637
O 0.485 0.452 0.076
O 0.510 0.906 0.566
O 0.564 0.351 0.765
O 0.609 0.844 0.895
O 0.641 0.453 0.410
O 0.685 0.088 0.244
O 0.757 0.737 0.342
O 0.782 0.960 0.970
O 0.842 0.280 0.899
O 0.845 0.610 0.057
O 0.856 0.877 0.463
O 0.923 0.370 0.544
O 0.966 0.807 0.733
O 0.998 0.252 0.260

# 2
The following is a PBE+U calculation of a relaxed Li4TiNi5P6O24 crystal, from the Materials Project.

Computed properties:
Symmetry = P1 (1)
ΔH_f (0 K) = -2390 meV per atom
Total energy = -6.552 eV/atom
Energy with MP2020 corrections = -7.2820 eV per atom

Cell: 8.389 8.465 8.483 Å, 62.37 62.65 62.59°
Element x y z (fractional)
Li 0.000 0.000 0.000
Li 0.103 0.505 0.860
Li 0.461 0.707 0.300
Li 0.894 0.068 0.503
Ti 0.896 0.507 0.301
Ni 0.103 0.710 0.502
Ni 0.255 0.856 0.646
Ni 0.389 0.003 0.792
Ni 0.605 0.213 0.003
Ni 0.739 0.358 0.148
P 0.000 0.309 0.705
P 0.193 0.109 0.191
P 0.307 0.607 0.100
P 0.502 0.401 0.603
P 0.694 0.914 0.406
P 0.801 0.815 0.904
O 0.069 0.462 0.674
O 0.136 0.533 0.165
O 0.146 0.110 0.712
O 0.186 0.951 0.389
O 0.195 0.051 0.044
O 0.278 0.675 0.253
O 0.288 0.768 0.914
O 0.344 0.602 0.587
O 0.353 0.180 0.132
O 0.438 0.248 0.628
O 0.500 0.453 0.076
O 0.500 0.914 0.556
O 0.583 0.361 0.748
O 0.631 0.858 0.854
O 0.652 0.440 0.394
O 0.689 0.100 0.241
O 0.758 0.744 0.336
O 0.789 0.957 0.973
O 0.829 0.607 0.056
O 0.847 0.881 0.479
O 0.850 0.283 0.902
O 0.930 0.369 0.537
O 0.988 0.263 0.235
O 0.998 0.790 0.742

# 3
The following is a PBE+U calculation of a relaxed Li6V3NiP6O24 crystal, from the Materials Project.

Computed properties:
Symmetry = P1 (1)
ΔH_f (0 K) = -2612 meV per atom
Total energy = -6.902 eV/atom
Energy with MP2020 corrections = -7.5048 eV per atom

Cell: 8.508 8.529 8.566 Å, 62.07 62.05 62.31°
Element x y z (fractional)
Li 0.000 0.000 0.000
Li 0.084 0.861 0.527
Li 0.179 0.358 0.464
Li 0.367 0.714 0.154
Li 0.638 0.546 0.816
Li 0.830 0.222 0.670
V 0.205 0.565 0.022
V 0.490 0.855 0.305
V 0.707 0.072 0.526
Ni 0.993 0.356 0.818
P 0.098 0.158 0.214
P 0.304 0.959 0.704
P 0.398 0.460 0.615
P 0.597 0.250 0.127
P 0.798 0.757 0.919
P 0.891 0.671 0.418
O 0.041 0.177 0.060
O 0.088 0.627 0.270
O 0.120 0.128 0.710
O 0.163 0.318 0.172
O 0.235 0.411 0.636
O 0.254 0.960 0.246
O 0.268 0.812 0.904
O 0.331 0.891 0.551
O 0.357 0.523 0.776
O 0.421 0.625 0.425
O 0.450 0.449 0.087
O 0.476 0.002 0.665
O 0.518 0.094 0.179
O 0.586 0.300 0.604
O 0.604 0.791 0.075
O 0.651 0.217 0.287
O 0.727 0.735 0.349
O 0.762 0.247 0.940
O 0.805 0.940 0.752
O 0.813 0.599 0.869
O 0.878 0.827 0.471
O 0.883 0.486 0.585
O 0.946 0.140 0.410
O 0.961 0.711 0.983

# 4
The following is a PBE+U calculation of a relaxed Li7V3NiP6O24 crystal, from the Materials Project.

Computed properties:
Symmetry = R3 (146)
ΔH_f (0 K) = -2576 meV per atom
Total energy = -6.808 eV/atom
Energy with MP2020 corrections = -7.3963 eV per atom

Cell: 8.849 8.849 8.849 Å, 60.10 60.10 60.10°
Element x y z (fractional)
Li 0.000 0.000 0.000
Li 0.154 0.324 0.768
Li 0.238 0.764 0.596
Li 0.324 0.768 0.154
Li 0.596 0.238 0.764
Li 0.764 0.596 0.238
Li 0.768 0.154 0.324
V 0.333 0.333 0.333
V 0.624 0.624 0.624
V 0.834 0.834 0.834
Ni 0.129 0.129 0.129
P 0.018 0.732 0.433
P 0.232 0.518 0.934
P 0.433 0.018 0.732
P 0.518 0.934 0.232
P 0.732 0.433 0.018
P 0.934 0.232 0.518
O 0.002 0.767 0.597
O 0.024 0.907 0.255
O 0.070 0.703 0.900
O 0.101 0.267 0.485
O 0.200 0.354 0.947
O 0.207 0.579 0.390
O 0.255 0.024 0.907
O 0.267 0.485 0.101
O 0.354 0.947 0.200
O 0.390 0.207 0.579
O 0.400 0.543 0.751
O 0.475 0.854 0.684
O 0.485 0.101 0.267
O 0.543 0.751 0.400
O 0.579 0.390 0.207
O 0.597 0.002 0.767
O 0.684 0.475 0.854
O 0.703 0.900 0.070
O 0.751 0.400 0.543
O 0.767 0.597 0.002
O 0.854 0.684 0.475
O 0.900 0.070 0.703
O 0.907 0.255 0.024
O 0.947 0.200 0.354

# 5
The following is a PBE+U calculation of a relaxed Li4VNi3P4O16 crystal, from the Materials Project.

Computed properties:
Symmetry = Pm (6)
ΔH_f (0 K) = -2430 meV per atom
Total energy = -6.521 eV/atom
Energy with MP2020 corrections = -7.2470 eV per atom

Cell: 4.742 5.982 10.222 Å, 90.00 90.14 90.00°
Element x y z (fractional)
Li 0.000 0.249 0.000
Li 0.000 0.751 0.000
Li 0.499 0.249 0.495
Li 0.499 0.751 0.495
V 0.979 0.500 0.722
Ni 0.018 0.000 0.273
Ni 0.480 0.000 0.773
Ni 0.519 0.500 0.221
P 0.085 0.500 0.400
P 0.415 0.500 0.905
P 0.582 0.000 0.091
P 0.913 0.000 0.590
O 0.205 0.500 0.541
O 0.224 0.294 0.330
O 0.224 0.706 0.330
O 0.238 0.000 0.597
O 0.259 0.000 0.097
O 0.277 0.292 0.834
O 0.277 0.708 0.834
O 0.297 0.500 0.047
O 0.699 0.000 0.949
O 0.724 0.206 0.162
O 0.724 0.794 0.162
O 0.737 0.500 0.902
O 0.761 0.500 0.395
O 0.771 0.203 0.661
O 0.771 0.797 0.661
O 0.799 0.000 0.447

# 6
The following is a PBE+U calculation of a relaxed Li2VNiP2O8 crystal, from the Materials Project.

Computed properties:
Symmetry = P2_1/m (11)
ΔH_f (0 K) = -2499 meV per atom
Total energy = -6.738 eV/atom
Energy with MP2020 corrections = -7.4337 eV per atom

Cell: 4.753 6.019 10.335 Å, 90.00 90.11 90.00°
Element x y z (fractional)
Li 0.000 0.000 0.000
Li 0.000 0.500 0.000
Li 0.500 0.000 0.500
Li 0.500 0.500 0.500
V 0.016 0.250 0.273
V 0.984 0.750 0.727
Ni 0.483 0.250 0.777
Ni 0.517 0.750 0.223
P 0.090 0.750 0.404
P 0.420 0.750 0.911
P 0.580 0.250 0.089
P 0.910 0.250 0.596
O 0.205 0.750 0.545
O 0.232 0.546 0.334
O 0.232 0.954 0.334
O 0.233 0.250 0.604
O 0.257 0.250 0.092
O 0.285 0.544 0.839
O 0.285 0.956 0.839
O 0.297 0.750 0.049
O 0.703 0.250 0.951
O 0.715 0.044 0.161
O 0.715 0.456 0.161
O 0.743 0.750 0.908
O 0.767 0.750 0.396
O 0.768 0.046 0.666
O 0.768 0.454 0.666
O 0.795 0.250 0.455